1.
# Li2V3SnO8

A relaxed structure of Li2V3SnO8 (GGA+U, the Materials Project database).

Output
The value obtained for the energy of formation from the pure elements is -2.340 eV per atom. As for the symmetry: R3m (160).

Lattice parameters (Å, degrees): 6.047 6.047 6.047 59.97 59.97 59.97
Sites, in units of the cell vectors:
O 0.714 0.252 0.252
O 0.257 0.257 0.257
O 0.285 0.745 0.745
O 0.252 0.252 0.714
O 0.742 0.742 0.742
O 0.745 0.745 0.285
O 0.745 0.285 0.745
O 0.252 0.714 0.252
V 0.493 0.023 0.493
V 0.493 0.493 0.023
V 0.023 0.493 0.493
Li 0.499 0.499 0.499
Li 0.120 0.120 0.120
Sn 0.879 0.879 0.879

=====

2.
# CsTmW2O8

A relaxed structure of CsTmW2O8 (GGA+U, the Materials Project database).

Output
The value obtained for the energy of formation from the pure elements is -2.648 eV per atom. As for the symmetry: C2/c (15).

Lattice parameters (Å, degrees): 7.637 7.637 7.539 62.59 62.59 88.49
Sites, in units of the cell vectors:
O 0.372 0.593 0.461
O 0.952 0.778 0.203
O 0.942 0.632 0.620
O 0.380 0.250 0.435
O 0.750 0.620 0.065
O 0.632 0.942 0.120
O 0.778 0.952 0.703
O 0.593 0.372 0.961
O 0.620 0.750 0.565
O 0.048 0.222 0.797
O 0.628 0.407 0.539
O 0.368 0.058 0.880
O 0.407 0.628 0.039
O 0.250 0.380 0.935
O 0.222 0.048 0.297
O 0.058 0.368 0.380
W 0.301 0.313 0.216
W 0.699 0.687 0.784
W 0.313 0.301 0.716
W 0.687 0.699 0.284
Cs 0.198 0.802 0.750
Cs 0.802 0.198 0.250
Tm 0.223 0.777 0.250
Tm 0.777 0.223 0.750

=====

| no. | calculated volume (Å³/f.u.) | size of the total moment (Bohr magnetons per cell) |
| --- | --- | --- |
| 1 | 156 | 5.000 |
| 2 | 168 | 0.000 |